1.
An optimized crystal structure of Ca5Pt3. Source: the Materials Project database, functional GGA-PBE.

Calculated values
Final energy   -4.33 eV/atom
Volume   393 Å³/cell

Lattice parameters (Å, degrees): 8.647 8.647 8.647 96.85 96.85 139.59
Fractional coordinates of all 16 atoms:
Ca 0.082 0.788 0.870
Ca 0.212 0.082 0.294
Ca 0.250 0.750 0.500
Ca 0.288 0.582 0.870
Ca 0.418 0.288 0.706
Ca 0.582 0.712 0.294
Ca 0.712 0.418 0.130
Ca 0.750 0.250 0.500
Ca 0.788 0.918 0.706
Ca 0.918 0.212 0.130
Pt 0.156 0.344 0.500
Pt 0.250 0.250 0.000
Pt 0.344 0.844 0.188
Pt 0.656 0.156 0.812
Pt 0.750 0.750 0.000
Pt 0.844 0.656 0.500

***

2.
An optimized crystal structure of KRbMg6O7. Source: the Materials Project database, functional GGA-PBE.

Calculated values
Volume   195 Å³/cell
Spin magnetization   0.00 Bohr magnetons per cell
Energy above the most stable polymorph in this dataset   79.9 meV per atom

Lattice parameters (Å, degrees): 4.929 4.929 8.022 90.00 90.00 90.00
Fractional coordinates of all 15 atoms:
K 0.000 0.000 0.000
Rb 0.000 0.000 0.421
Mg 0.000 0.500 0.232
Mg 0.000 0.500 0.729
Mg 0.500 0.000 0.232
Mg 0.500 0.000 0.729
Mg 0.500 0.500 0.487
Mg 0.500 0.500 0.980
O 0.000 0.000 0.717
O 0.000 0.500 0.474
O 0.000 0.500 0.993
O 0.500 0.000 0.474
O 0.500 0.000 0.993
O 0.500 0.500 0.234
O 0.500 0.500 0.734

***

3.
An optimized crystal structure of Ca3Ga2Pd2. Source: the Materials Project database, functional GGA-PBE.

Calculated values
Final energy   -3.92 eV/atom
Volume   649 Å³/cell

Lattice parameters (Å, degrees): 5.826 7.971 13.975 90.00 90.00 90.00
Fractional coordinates of all 28 atoms:
Ca 0.135 0.244 0.250
Ca 0.135 0.256 0.750
Ca 0.360 0.606 0.599
Ca 0.360 0.606 0.901
Ca 0.360 0.894 0.099
Ca 0.360 0.894 0.401
Ca 0.640 0.106 0.599
Ca 0.640 0.106 0.901
Ca 0.640 0.394 0.099
Ca 0.640 0.394 0.401
Ca 0.865 0.744 0.250
Ca 0.865 0.756 0.750
Ga 0.128 0.250 0.000
Ga 0.128 0.250 0.500
Ga 0.353 0.594 0.250
Ga 0.353 0.906 0.750
Ga 0.647 0.094 0.250
Ga 0.647 0.406 0.750
Ga 0.872 0.750 0.000
Ga 0.872 0.750 0.500
Pd 0.133 0.533 0.092
Pd 0.133 0.533 0.408
Pd 0.133 0.967 0.592
Pd 0.133 0.967 0.908
Pd 0.867 0.033 0.092
Pd 0.867 0.033 0.408
Pd 0.867 0.467 0.592
Pd 0.867 0.467 0.908

***

4.
An optimized crystal structure of Mg2TaNb2O8. Source: the Materials Project database, functional GGA-PBE.

Calculated values
Final energy   -8.31 eV/atom
Volume   303 Å³/cell
Spin magnetization   0.00 Bohr magnetons per cell

Lattice parameters (Å, degrees): 5.230 5.982 10.005 103.86 93.27 91.72
Fractional coordinates of all 26 atoms:
Mg 0.233 0.081 0.447
Mg 0.255 0.639 0.540
Mg 0.745 0.361 0.460
Mg 0.767 0.919 0.553
Ta 0.245 0.844 0.006
Ta 0.755 0.156 0.994
Nb 0.281 0.253 0.752
Nb 0.284 0.492 0.232
Nb 0.716 0.508 0.768
Nb 0.719 0.747 0.248
O 0.066 0.420 0.632
O 0.067 0.705 0.136
O 0.096 0.171 0.102
O 0.134 0.957 0.617
O 0.376 0.346 0.383
O 0.390 0.591 0.885
O 0.413 0.052 0.887
O 0.427 0.799 0.380
O 0.573 0.201 0.620
O 0.587 0.948 0.113
O 0.610 0.409 0.115
O 0.624 0.654 0.617
O 0.866 0.043 0.383
O 0.904 0.829 0.898
O 0.933 0.295 0.864
O 0.934 0.580 0.368

***

5.
An optimized crystal structure of KBiO3. Source: the Materials Project database, functional GGA-PBE.

Calculated values
Final energy   -5.04 eV/atom
Volume   79 Å³/cell
Spin magnetization   0.00 Bohr magnetons per cell

Lattice parameters (Å, degrees): 4.284 4.284 4.284 90.00 90.00 90.00
Fractional coordinates of all 5 atoms:
K 0.000 0.000 0.000
Bi 0.500 0.500 0.500
O 0.000 0.500 0.500
O 0.500 0.000 0.500
O 0.500 0.500 0.000

***

6.
An optimized crystal structure of SrAcZn2. Source: the Materials Project database, functional GGA-PBE.

Calculated values
Final energy   -2.31 eV/atom
Volume   480 Å³/cell

Lattice parameters (Å, degrees): 7.831 7.831 7.831 90.00 90.00 90.00
Fractional coordinates of all 16 atoms:
Sr 0.000 0.000 0.000
Sr 0.000 0.500 0.500
Sr 0.500 0.000 0.500
Sr 0.500 0.500 0.000
Ac 0.000 0.000 0.500
Ac 0.000 0.500 0.000
Ac 0.500 0.000 0.000
Ac 0.500 0.500 0.500
Zn 0.250 0.250 0.250
Zn 0.250 0.250 0.750
Zn 0.250 0.750 0.250
Zn 0.250 0.750 0.750
Zn 0.750 0.250 0.250
Zn 0.750 0.250 0.750
Zn 0.750 0.750 0.250
Zn 0.750 0.750 0.750

***

7.
An optimized crystal structure of LiMnPt2. Source: the Materials Project database, functional GGA-PBE.

Calculated values
Final energy   -6.28 eV/atom
Volume   225 Å³/cell

Lattice parameters (Å, degrees): 6.085 6.085 6.085 90.00 90.00 90.00
Fractional coordinates of all 16 atoms:
Li 0.000 0.000 0.000
Li 0.000 0.500 0.500
Li 0.500 0.000 0.500
Li 0.500 0.500 0.000
Mn 0.000 0.000 0.500
Mn 0.000 0.500 0.000
Mn 0.500 0.000 0.000
Mn 0.500 0.500 0.500
Pt 0.250 0.250 0.250
Pt 0.250 0.250 0.750
Pt 0.250 0.750 0.250
Pt 0.250 0.750 0.750
Pt 0.750 0.250 0.250
Pt 0.750 0.250 0.750
Pt 0.750 0.750 0.250
Pt 0.750 0.750 0.750

***

8.
An optimized crystal structure of InO. Source: the Materials Project database, functional GGA-PBE.

Calculated values
Final energy   -4.95 eV/atom
Volume   164 Å³/cell
Spin magnetization   0.00 Bohr magnetons per cell

Lattice parameters (Å, degrees): 3.454 3.454 15.877 90.00 90.00 120.00
Fractional coordinates of all 4 atoms:
In 0.000 0.000 0.090
In 0.000 0.000 0.910
O 0.333 0.667 0.140
O 0.333 0.667 0.860

***

9.
An optimized crystal structure of KBaTbBiO6. Source: the Materials Project database, functional GGA-PBE.

Calculated values
Volume   167 Å³/cell
Spin magnetization   1.00 Bohr magnetons per cell
Energy above the most stable polymorph in this dataset   3.2 meV per atom

Lattice parameters (Å, degrees): 6.182 6.182 6.182 60.00 60.00 60.00
Fractional coordinates of all 10 atoms:
K 0.000 0.000 0.000
Ba 0.500 0.500 0.500
Tb 0.750 0.750 0.750
Bi 0.250 0.250 0.250
O 0.007 0.007 0.493
O 0.007 0.493 0.007
O 0.007 0.493 0.493
O 0.493 0.007 0.007
O 0.493 0.007 0.493
O 0.493 0.493 0.007

***

10.
An optimized crystal structure of Na2AlGe2. Source: the Materials Project database, functional GGA-PBE.

Calculated values
Final energy   -2.83 eV/atom
Volume   119 Å³/cell
Spin magnetization   0.00 Bohr magnetons per cell

Lattice parameters (Å, degrees): 2.900 2.900 14.130 90.00 90.00 90.00
Fractional coordinates of all 5 atoms:
Na 0.000 0.000 0.110
Na 0.000 0.000 0.890
Al 0.000 0.000 0.500
Ge 0.000 0.000 0.317
Ge 0.000 0.000 0.683

***

11.
An optimized crystal structure of Na3MgNb5Si6S3O36. Source: the Materials Project database, functional GGA-PBE.

Calculated values
Final energy   -7.48 eV/atom
Volume   1572 Å³/cell
Spin magnetization   0.00 Bohr magnetons per cell

Lattice parameters (Å, degrees): 8.874 8.874 23.017 90.09 90.09 60.14
Fractional coordinates of all 108 atoms:
Na 0.000 0.000 0.000
Na 0.000 0.000 0.500
Na 0.321 0.341 0.165
Na 0.341 0.321 0.665
Na 0.663 0.674 0.830
Na 0.674 0.663 0.330
Mg 0.653 0.676 0.686
Mg 0.676 0.653 0.186
Nb 0.009 0.983 0.142
Nb 0.317 0.340 0.020
Nb 0.320 0.340 0.315
Nb 0.340 0.317 0.520
Nb 0.340 0.320 0.815
Nb 0.650 0.660 0.477
Nb 0.660 0.650 0.977
Nb 0.983 0.009 0.642
Nb 0.989 0.991 0.858
Nb 0.991 0.989 0.358
Si 0.039 0.332 0.418
Si 0.040 0.613 0.915
Si 0.327 0.615 0.418
Si 0.332 0.039 0.918
Si 0.377 0.949 0.587
Si 0.389 0.654 0.087
Si 0.613 0.040 0.415
Si 0.615 0.327 0.918
Si 0.654 0.389 0.587
Si 0.706 0.987 0.750
Si 0.949 0.377 0.087
Si 0.987 0.706 0.250
S 0.283 0.709 0.750
S 0.285 0.995 0.250
S 0.660 0.952 0.085
S 0.709 0.283 0.250
S 0.952 0.660 0.585
S 0.995 0.285 0.750
O 0.019 0.809 0.194
O 0.021 0.161 0.405
O 0.024 0.174 0.697
O 0.026 0.804 0.908
O 0.130 0.509 0.577
O 0.133 0.361 0.360
O 0.134 0.495 0.858
O 0.149 0.338 0.074
O 0.157 0.298 0.754
O 0.161 0.021 0.905
O 0.161 0.529 0.973
O 0.161 0.810 0.408
O 0.163 0.298 0.473
O 0.172 0.516 0.256
O 0.174 0.024 0.197
O 0.175 0.794 0.698
O 0.180 0.969 0.593
O 0.184 0.830 0.091
O 0.195 0.981 0.302
O 0.196 0.816 0.804
O 0.292 0.535 0.756
O 0.294 0.530 0.475
O 0.298 0.157 0.254
O 0.298 0.163 0.973
O 0.338 0.149 0.574
O 0.353 0.491 0.075
O 0.358 0.497 0.360
O 0.361 0.133 0.860
O 0.455 0.842 0.245
O 0.457 0.687 0.748
O 0.467 0.692 0.027
O 0.468 0.831 0.527
O 0.490 0.635 0.145
O 0.491 0.353 0.575
O 0.491 0.880 0.643
O 0.495 0.134 0.358
O 0.497 0.358 0.860
O 0.499 0.636 0.422
O 0.505 0.851 0.926
O 0.509 0.130 0.077
O 0.516 0.172 0.756
O 0.529 0.161 0.473
O 0.530 0.294 0.975
O 0.535 0.292 0.256
O 0.635 0.490 0.645
O 0.636 0.499 0.922
O 0.636 0.877 0.137
O 0.642 0.847 0.425
O 0.687 0.457 0.248
O 0.692 0.467 0.527
O 0.693 0.847 0.031
O 0.694 0.816 0.749
O 0.794 0.175 0.198
O 0.804 0.026 0.408
O 0.809 0.019 0.694
O 0.810 0.161 0.908
O 0.816 0.196 0.304
O 0.816 0.694 0.249
O 0.821 0.974 0.091
O 0.828 0.983 0.806
O 0.830 0.184 0.591
O 0.831 0.468 0.027
O 0.842 0.455 0.745
O 0.847 0.642 0.925
O 0.847 0.693 0.531
O 0.851 0.505 0.426
O 0.877 0.636 0.637
O 0.880 0.491 0.143
O 0.969 0.180 0.093
O 0.974 0.821 0.591
O 0.981 0.195 0.802
O 0.983 0.828 0.306

***

12.
An optimized crystal structure of Tb2GaNi2. Source: the Materials Project database, functional GGA-PBE.

Calculated values
Final energy   -5.33 eV/atom
Volume   185 Å³/cell

Lattice parameters (Å, degrees): 4.199 5.332 8.262 90.00 90.00 90.00
Fractional coordinates of all 10 atoms:
Tb 0.000 0.000 0.201
Tb 0.000 0.000 0.799
Tb 0.500 0.500 0.299
Tb 0.500 0.500 0.701
Ga 0.000 0.500 0.000
Ga 0.500 0.000 0.500
Ni 0.000 0.268 0.500
Ni 0.000 0.732 0.500
Ni 0.500 0.232 0.000
Ni 0.500 0.768 0.000

***

13.
An optimized crystal structure of La4Sb3. Source: the Materials Project database, functional GGA-PBE.

Calculated values
Final energy   -5.72 eV/atom
Volume   459 Å³/cell

Lattice parameters (Å, degrees): 8.415 8.415 8.415 109.47 109.47 109.47
Fractional coordinates of all 14 atoms:
La 0.000 0.142 0.500
La 0.000 0.642 0.500
La 0.142 0.500 0.000
La 0.358 0.358 0.358
La 0.500 0.000 0.142
La 0.500 0.000 0.642
La 0.642 0.500 0.000
La 0.858 0.858 0.858
Sb 0.125 0.875 0.250
Sb 0.250 0.125 0.875
Sb 0.375 0.625 0.750
Sb 0.625 0.750 0.375
Sb 0.750 0.375 0.625
Sb 0.875 0.250 0.125

***

14.
An optimized crystal structure of EuBi2S4. Source: the Materials Project database, functional GGA-PBE.

Calculated values
Final energy   -5.80 eV/atom
Volume   699 Å³/cell

Lattice parameters (Å, degrees): 11.685 4.085 14.647 90.00 90.00 90.00
Fractional coordinates of all 28 atoms:
Eu 0.238 0.250 0.152
Eu 0.262 0.750 0.652
Eu 0.738 0.250 0.348
Eu 0.762 0.750 0.848
Bi 0.067 0.750 0.393
Bi 0.105 0.750 0.899
Bi 0.395 0.250 0.399
Bi 0.433 0.250 0.893
Bi 0.567 0.750 0.107
Bi 0.605 0.750 0.601
Bi 0.895 0.250 0.101
Bi 0.933 0.250 0.607
S 0.013 0.750 0.713
S 0.062 0.750 0.088
S 0.168 0.250 0.514
S 0.236 0.250 0.800
S 0.264 0.750 0.300
S 0.332 0.750 0.014
S 0.438 0.250 0.588
S 0.487 0.250 0.213
S 0.513 0.750 0.787
S 0.562 0.750 0.412
S 0.668 0.250 0.986
S 0.736 0.250 0.700
S 0.764 0.750 0.200
S 0.832 0.750 0.486
S 0.938 0.250 0.912
S 0.987 0.250 0.287

***

15.
An optimized crystal structure of BaEu2PdO5. Source: the Materials Project database, functional GGA-PBE.

Calculated values
Final energy   -8.07 eV/atom
Volume   273 Å³/cell
Spin magnetization   24.01 Bohr magnetons per cell

Lattice parameters (Å, degrees): 6.779 6.779 5.931 90.00 90.00 90.00
Fractional coordinates of all 18 atoms:
Ba 0.000 0.000 0.000
Ba 0.500 0.500 0.000
Eu 0.175 0.325 0.500
Eu 0.325 0.825 0.500
Eu 0.675 0.175 0.500
Eu 0.825 0.675 0.500
Pd 0.000 0.500 0.000
Pd 0.500 0.000 0.000
O 0.000 0.000 0.500
O 0.140 0.640 0.250
O 0.140 0.640 0.750
O 0.360 0.140 0.250
O 0.360 0.140 0.750
O 0.500 0.500 0.500
O 0.640 0.860 0.250
O 0.640 0.860 0.750
O 0.860 0.360 0.250
O 0.860 0.360 0.750

***

16.
An optimized crystal structure of YMg2. Source: the Materials Project database, functional GGA-PBE.

Calculated values
Final energy   -3.19 eV/atom
Volume   158 Å³/cell
Spin magnetization   0.00 Bohr magnetons per cell

Lattice parameters (Å, degrees): 5.922 5.922 5.216 90.00 90.00 120.00
Fractional coordinates of all 6 atoms:
Y 0.333 0.667 0.000
Y 0.667 0.333 0.000
Mg 0.000 0.000 0.000
Mg 0.000 0.681 0.500
Mg 0.319 0.319 0.500
Mg 0.681 0.000 0.500